MgSi4NiO10: relaxed, GGA+U.

a = 7.2676 Å, b = 7.2676 Å, c = 14.8360 Å
α = 90.00°, β = 90.00°, γ = 90.00°
Closest atoms and distances in Å follow each position.
Sites, in units of the cell vectors:
Mg1 0.2500 0.7500 0.0000  4 O 2.16
Mg2 0.2500 0.7500 0.5000  4 O 2.16
Mg3 0.7500 0.2500 0.0000  4 O 2.16
Mg4 0.7500 0.2500 0.5000  4 O 2.16
Si1 0.0070 0.5821 0.1440  4 O 1.62-1.64
Si2 0.0070 0.9179 0.6440  4 O 1.62-1.64
Si3 0.0821 0.5070 0.3560  4 O 1.62-1.64
Si4 0.0821 0.9930 0.8560  4 O 1.62-1.64
Si5 0.4179 0.5070 0.8560  4 O 1.62-1.64
Si6 0.4179 0.9930 0.3560  4 O 1.62-1.64
Si7 0.4930 0.5821 0.6440  4 O 1.62-1.64
Si8 0.4930 0.9179 0.1440  4 O 1.62-1.64
Si9 0.5070 0.0821 0.8560  4 O 1.62-1.64
Si10 0.5070 0.4179 0.3560  4 O 1.62-1.64
Si11 0.5821 0.0070 0.6440  4 O 1.62-1.64
Si12 0.5821 0.4930 0.1440  4 O 1.62-1.64
Si13 0.9179 0.0070 0.1440  4 O 1.62-1.64
Si14 0.9179 0.4930 0.6440  4 O 1.62-1.64
Si15 0.9930 0.0821 0.3560  4 O 1.62-1.64
Si16 0.9930 0.4179 0.8560  4 O 1.62-1.64
Ni1 0.2500 0.2500 0.0719  4 O 1.99
Ni2 0.2500 0.2500 0.5719  4 O 1.99
Ni3 0.7500 0.7500 0.4281  4 O 1.99
Ni4 0.7500 0.7500 0.9281  4 O 1.99
O1 0.0021 0.6966 0.6227  2 Si 1.63-1.64
O2 0.0021 0.8034 0.1227  2 Si 1.63-1.64
O3 0.0099 0.6636 0.4249  1 Si 1.62
O4 0.0099 0.8364 0.9249  1 Si 1.62
O5 0.0471 0.5471 0.2500  2 Si 1.62
O6 0.0471 0.9529 0.7500  2 Si 1.62
O7 0.1636 0.5099 0.0751  1 Si 1.62
O8 0.1636 0.9901 0.5751  1 Si 1.62
O9 0.1966 0.5021 0.8773  2 Si 1.63-1.64
O10 0.1966 0.9979 0.3773  2 Si 1.63-1.64
O11 0.3034 0.5021 0.3773  2 Si 1.63-1.64
O12 0.3034 0.9979 0.8773  2 Si 1.63-1.64
O13 0.3364 0.5099 0.5751  1 Si 1.62
O14 0.3364 0.9901 0.0751  1 Si 1.62
O15 0.4529 0.5471 0.7500  2 Si 1.62
O16 0.4529 0.9529 0.2500  2 Si 1.62
O17 0.4901 0.6636 0.9249  1 Si 1.62
O18 0.4901 0.8364 0.4249  1 Si 1.62
O19 0.4979 0.6966 0.1227  2 Si 1.63-1.64
O20 0.4979 0.8034 0.6227  2 Si 1.63-1.64
O21 0.5021 0.1966 0.3773  2 Si 1.63-1.64
O22 0.5021 0.3034 0.8773  2 Si 1.63-1.64
O23 0.5099 0.1636 0.5751  1 Si 1.62
O24 0.5099 0.3364 0.0751  1 Si 1.62
O25 0.5471 0.0471 0.7500  2 Si 1.62
O26 0.5471 0.4529 0.2500  2 Si 1.62
O27 0.6636 0.0099 0.9249  1 Si 1.62
O28 0.6636 0.4901 0.4249  1 Si 1.62
O29 0.6966 0.0021 0.1227  2 Si 1.63-1.64
O30 0.6966 0.4979 0.6227  2 Si 1.63-1.64
O31 0.8034 0.0021 0.6227  2 Si 1.63-1.64
O32 0.8034 0.4979 0.1227  2 Si 1.63-1.64
O33 0.8364 0.0099 0.4249  1 Si 1.62
O34 0.8364 0.4901 0.9249  1 Si 1.62
O35 0.9529 0.0471 0.2500  2 Si 1.62
O36 0.9529 0.4529 0.7500  2 Si 1.62
O37 0.9901 0.1636 0.0751  1 Si 1.62
O38 0.9901 0.3364 0.5751  1 Si 1.62
O39 0.9979 0.1966 0.8773  2 Si 1.63-1.64
O40 0.9979 0.3034 0.3773  2 Si 1.63-1.64

Properties
As for the formation enthalpy at 0 K: -2.880 eV per atom.

MgFe8O14F2: relaxed, GGA+U.

a = 5.8063 Å, b = 7.1751 Å, c = 7.5598 Å
α = 86.57°, β = 71.52°, γ = 70.13°
Closest atoms and distances in Å follow each position.
Sites, in units of the cell vectors:
Mg1 0.0000 0.0000 0.0000  5 O 1.97-2.13
Fe1 0.0237 0.4945 0.5037  6 O 1.84-2.00
Fe2 0.2733 0.2318 0.7337  5 O 1.84-2.04
Fe3 0.3554 0.7235 0.6943  4 O 1.88-2.05, 1 F 2.01
Fe4 0.4299 0.5153 0.0622  4 O 1.91-2.06, 1 F 2.03
Fe5 0.5040 0.9972 0.9992  3 O 1.84-2.00
Fe6 0.6995 0.2703 0.3047  5 O 1.86-1.99
Fe7 0.7526 0.7419 0.2635  5 O 1.96-2.11, 1 F 2.07
Fe8 0.9575 0.9935 0.5360  5 O 1.96-2.06
O1 0.1029 0.5555 0.2470  3 Fe 1.91-1.99
O2 0.1238 0.7047 0.5586  3 Fe 1.90-1.99
O3 0.1462 0.0063 0.7066  3 Fe 1.96-2.04, 1 Mg 2.11
O4 0.1876 0.1871 0.9990  2 Fe 1.88-1.94, 1 Mg 1.99
O5 0.3604 0.3076 0.4857  3 Fe 1.88-1.95
O6 0.3637 0.7815 0.9544  3 Fe 1.99-2.07, 1 Mg 2.09
O7 0.6108 0.0573 0.7289  3 Fe 1.92-2.00
O8 0.6224 0.2172 0.0777  3 Fe 1.99-2.10, 1 Mg 2.13
O9 0.6385 0.5241 0.2140  3 Fe 1.86-1.99
O10 0.6884 0.6800 0.5271  3 Fe 1.88-1.96
O11 0.8152 0.8150 0.0015  2 Fe 1.84-1.97, 1 Mg 1.97
O12 0.8534 0.9881 0.3067  3 Fe 1.92-2.11
O13 0.9040 0.2789 0.4529  3 Fe 1.89-2.06
O14 0.9587 0.4199 0.7469  2 Fe 1.84
F1 0.3873 0.9357 0.2824  2 Fe 2.07-2.10
F2 0.3918 0.4617 0.8137  3 Fe 2.01-2.17

Properties
As for the formation enthalpy at 0 K: -1.596 eV per atom.

Results for magnetization: 2.0 34.0 (in μB/f.u., following the order of the records).